Here is an optimized crystal structure of MgMn4Cu2P6O24 from the Materials Project database. Energies are from GGA+U.

The structure in POSCAR format:
```
MgMn4Cu2P6O24
1.0
9.962 -0.283 -0.192
4.751 6.905 -0.341
4.798 1.977 6.645
Mg Mn Cu P O
1 4 2 6 24
Cartesian
4.882 1.967 1.725 Mg
2.402 1.262 0.662 Mn
7.318 3.260 2.116 Mn
12.827 5.521 3.834 Mn
16.428 7.483 5.200 Mn
14.493 6.559 -0.511 Cu
9.972 4.301 3.121 Cu
5.875 6.088 2.566 P
8.640 1.844 4.809 P
9.842 3.088 -0.083 P
9.678 5.536 6.173 P
11.170 6.785 1.360 P
13.350 2.449 3.518 P
4.877 2.953 3.482 O
5.950 3.424 0.682 O
5.968 6.761 1.115 O
6.856 1.331 2.108 O
16.159 6.859 3.436 O
7.049 5.058 2.672 O
7.477 2.073 5.831 O
8.521 3.003 3.706 O
3.820 2.489 0.007 O
9.348 3.521 1.345 O
9.016 6.912 6.144 O
9.677 6.891 1.086 O
10.056 1.916 5.334 O
10.341 1.597 -0.054 O
10.327 5.146 4.841 O
15.859 5.892 6.135 O
11.351 5.737 2.512 O
12.098 6.375 0.195 O
12.412 3.670 3.587 O
2.921 1.887 2.471 O
13.061 7.400 3.823 O
13.205 1.666 4.869 O
13.426 5.217 5.642 O
14.429 5.270 2.489 O
```

Summary:
Energy relative to the lowest polymorph listed for this composition (meV/atom): 38
SG: P1

Here is an optimized crystal structure of MgMn4Cu2P6O24 from the Materials Project database. Energies are from GGA+U.

The structure in POSCAR format:
```
MgMn4Cu2P6O24
1.0
8.344 -0.213 0.463
4.024 7.256 0.409
4.500 2.562 7.821
Mg Mn Cu P O
1 4 2 6 24
Cartesian
8.611 7.826 5.328 Mg
2.389 1.389 1.314 Mn
5.977 3.515 2.972 Mn
11.035 6.111 5.888 Mn
14.354 8.227 7.399 Mn
8.318 -0.191 0.469 Cu
8.492 4.738 4.273 Cu
5.776 6.595 4.046 P
7.281 2.113 6.049 P
8.215 3.057 0.825 P
8.608 6.501 7.912 P
9.418 7.519 2.503 P
11.256 3.089 4.667 P
4.415 3.604 4.041 O
5.065 4.219 1.211 O
5.517 7.255 2.671 O
5.840 1.573 2.772 O
6.671 7.387 5.018 O
6.548 5.250 3.792 O
6.356 2.649 7.184 O
7.500 3.145 4.923 O
3.059 2.878 0.330 O
7.697 3.628 2.173 O
7.969 7.922 7.455 O
4.076 0.444 1.339 O
12.624 8.890 7.057 O
8.864 1.650 1.128 O
9.224 6.073 6.505 O
13.782 6.609 8.176 O
9.202 6.571 3.760 O
10.452 6.915 1.516 O
10.440 4.428 4.839 O
10.638 2.308 3.540 O
10.574 8.131 5.817 O
11.303 2.343 6.057 O
11.611 5.360 7.630 O
12.747 6.149 5.132 O
```

Summary:
Energy relative to the lowest polymorph listed for this composition (meV/atom): 0
SG: P1

Here is an optimized crystal structure of Sr4MgMn2Cu2S2O6 from the Materials Project database. Energies are from GGA+U.

The structure in POSCAR format:
```
Sr4MgMn2Cu2S2O6
1.0
3.948 0.000 0.000
0.000 3.948 0.000
0.000 0.000 18.880
Sr Mg Mn Cu S O
4 1 2 2 2 6
Cartesian
2.961 2.961 4.813 Sr
0.987 0.987 14.797 Sr
2.961 2.961 8.480 Sr
0.987 0.987 11.139 Sr
2.961 2.961 1.134 Mg
0.987 0.987 6.625 Mn
2.961 2.961 12.934 Mn
2.961 0.987 17.877 Cu
0.987 2.961 17.877 Cu
0.987 0.987 0.585 S
2.961 2.961 16.533 S
2.961 0.987 6.169 O
0.987 2.961 6.169 O
0.987 2.961 13.290 O
2.961 0.987 13.290 O
0.987 0.987 8.674 O
2.961 2.961 10.868 O
```

Summary:
Energy relative to the lowest polymorph listed for this composition (meV/atom): 45
SG: P4mm

Here is an optimized crystal structure of Sr4MgMn2Cu2S2O6 from the Materials Project database. Energies are from GGA+U.

The structure in POSCAR format:
```
Sr4MgMn2Cu2S2O6
1.0
-0.449 1.655 3.700
-1.292 -3.587 1.448
15.180 -4.003 3.633
Sr Mg Mn Cu S O
4 1 2 2 2 6
Cartesian
1.321 -2.141 4.490 Sr
12.119 -3.793 4.292 Sr
4.378 -2.947 5.221 Sr
9.060 -2.987 3.559 Sr
6.508 -4.278 3.827 Mg
4.003 -1.653 2.349 Mn
9.440 -4.282 6.433 Mn
14.520 -3.658 6.770 Cu
14.099 -6.279 5.644 Cu
0.837 -0.818 1.591 S
12.599 -5.115 7.189 S
3.471 -0.745 4.125 O
3.276 -3.425 3.054 O
9.744 -5.131 4.602 O
10.385 -2.568 5.780 O
6.418 -2.290 2.927 O
7.022 -3.645 5.854 O
```

Summary:
Energy relative to the lowest polymorph listed for this composition (meV/atom): 41
SG: P-4m2

Here is an optimized crystal structure of Sr4MgMn2Cu2S2O6 from the Materials Project database. Energies are from GGA+U.

The structure in POSCAR format:
```
Sr4MgMn2Cu2S2O6
1.0
3.905 0.000 0.000
0.000 3.917 0.000
0.000 0.000 19.591
Sr Mg Mn Cu S O
4 1 2 2 2 6
Cartesian
2.929 2.938 5.125 Sr
0.976 0.979 15.602 Sr
2.929 2.938 9.292 Sr
0.976 0.979 11.967 Sr
2.929 0.979 1.978 Mg
0.976 0.979 7.319 Mn
2.929 2.938 13.716 Mn
2.929 0.979 18.451 Cu
0.976 2.938 18.676 Cu
0.976 0.979 0.528 S
2.929 2.938 17.261 S
2.929 0.979 3.835 O
0.976 2.938 6.740 O
0.976 2.938 14.026 O
2.929 0.979 14.027 O
0.976 0.979 9.351 O
2.929 2.938 11.612 O
```

Summary:
Energy relative to the lowest polymorph listed for this composition (meV/atom): 0
SG: Pmm2

Here is an optimized crystal structure of Sr4MgMn2Cu3S4O4 from the Materials Project database. Energies are from GGA+U.

The structure in POSCAR format:
```
Sr4MgMn2Cu3S4O4
1.0
-4.076 4.560 -0.001
-4.114 -4.595 0.000
-2.037 2.279 8.607
Sr Mg Mn Cu S O
4 1 2 3 4 4
Cartesian
-2.008 1.700 1.647 Sr
-6.179 2.838 1.649 Sr
-4.089 -0.071 6.916 Sr
-8.190 0.018 6.917 Sr
-6.132 -0.029 1.859 Mg
-6.125 2.274 8.229 Mn
-2.043 2.266 8.237 Mn
-4.084 2.274 4.414 Cu
-6.143 -0.030 4.505 Cu
-6.118 4.548 4.399 Cu
-6.179 -2.212 5.668 S
-6.102 2.157 5.665 S
-4.065 0.134 3.218 S
-4.098 4.405 3.205 S
-2.048 -0.013 0.000 O
-8.179 2.259 8.544 O
-6.119 4.549 8.521 O
-4.109 -2.304 0.066 O
```

Summary:
SG: P1

Here is an optimized crystal structure of MgMn2V2Cu2O8 from the Materials Project database. Energies are from GGA+U.

The structure in POSCAR format:
```
MgMn2V2Cu2O8
1.0
5.950 -0.363 0.000
-2.694 5.289 0.000
0.000 0.000 6.345
Mg Mn V Cu O
1 2 2 2 8
Cartesian
-1.367 4.387 4.759 Mg
5.332 0.055 0.146 Mn
5.331 0.055 3.027 Mn
0.970 2.890 4.759 V
2.515 1.887 1.587 V
3.381 1.301 4.760 Cu
-0.057 3.560 1.586 Cu
-0.115 3.592 6.070 O
3.584 1.180 2.949 O
3.587 1.183 0.226 O
-0.117 3.589 3.448 O
0.719 1.053 4.760 O
2.573 3.709 1.586 O
2.547 3.863 4.758 O
0.863 1.116 1.587 O
```

Summary:
Energy relative to the lowest polymorph listed for this composition (meV/atom): 42
SG: Pm

Here is an optimized crystal structure of MgMn2V2Cu2O8 from the Materials Project database. Energies are from GGA+U.

The structure in POSCAR format:
```
MgMn2V2Cu2O8
1.0
-0.987 4.453 -3.187
2.427 -4.317 -2.789
-5.567 -2.179 -1.728
Mg Mn V Cu O
1 2 2 2 8
Cartesian
0.379 -2.383 -4.742 Mg
-5.546 -2.008 -1.908 Mn
-0.544 -5.251 -3.790 Mn
-3.056 -2.738 -4.350 V
-0.742 0.514 -3.735 V
-4.009 0.358 -4.430 Cu
-0.413 -2.000 -2.203 Cu
1.459 -2.082 -2.995 O
-2.434 1.279 -4.033 O
-0.212 2.140 -3.087 O
-1.311 -3.220 -3.956 O
-3.675 -1.827 -2.866 O
-0.282 -0.531 -5.190 O
-3.165 -1.738 -5.881 O
-1.182 -0.142 -2.005 O
```

Summary:
Energy relative to the lowest polymorph listed for this composition (meV/atom): 0
SG: P1

Short version: total energy = -7.005; -7.043; -5.798; -5.802; -5.843; -5.322; -6.779; -6.821 eV per atom, in the order given.
Short version: energy relative to the elements = -2.288; -2.326; -2.011; -2.015; -2.056; -1.588; -1.869; -1.912 eV/atom, in the order given.
Short version: energy with MP2020 corrections = -282.34; -283.75; -107.03; -107.10; -107.79; -103.90; -113.91; -114.55 eV for the cell shown, in the order given.